# Ca2ScTaO6

An optimized crystal structure of Ca2ScTaO6 (PBE-GGA, the Materials Project).

Lattice parameters (Å, degrees): 5.7129 5.5334 9.6751 55.08 90.00 90.00
Element x y z (fractional)
Ca 0.4483 0.2363 0.7504
Ca 0.5517 0.7637 0.2496
Ca 0.9483 0.7637 0.7496
Ca 0.0517 0.2363 0.2504
Sc 0.0000 0.0000 0.0000
Sc 0.5000 0.0000 0.5000
Ta 0.0000 0.5000 0.5000
Ta 0.5000 0.5000 0.0000
O 0.0329 0.3552 0.7428
O 0.9671 0.6448 0.2572
O 0.5329 0.6448 0.7572
O 0.4671 0.3552 0.2428
O 0.6968 0.8418 0.9497
O 0.3032 0.1582 0.0503
O 0.1968 0.1582 0.5503
O 0.8032 0.8418 0.4497
O 0.2104 0.7472 0.9465
O 0.7896 0.2528 0.0535
O 0.7104 0.2528 0.5535
O 0.2896 0.7472 0.4465

Values from the calculation:
Crystal system: monoclinic
Energy of formation from the pure elements in meV/atom: -3629.3
Total energy after the MP2020 corrections in eV per atom: -8.818

# TeMo2S3

An optimized crystal structure of TeMo2S3 (PBE-GGA, the Materials Project).

Lattice parameters (Å, degrees): 3.2747 3.2747 37.2147 90.00 90.00 120.00
Element x y z (fractional)
Te 0.3333 0.6667 0.4178
Te 0.3333 0.6667 0.5215
Mo 0.0000 0.0000 0.0939
Mo 0.0000 0.0000 0.4696
Mo 0.3333 0.6667 0.2818
Mo 0.3333 0.6667 0.6576
S 0.0000 0.0000 0.3231
S 0.0000 0.0000 0.6989
S 0.3333 0.6667 0.0526
S 0.3333 0.6667 0.1353
S 0.0000 0.0000 0.2404
S 0.0000 0.0000 0.6163

Values from the calculation:
Crystal system: trigonal
Energy of formation from the pure elements in meV/atom: -910.9
Relative energy among the computed polymorphs in meV/atom: 5
Total energy after the MP2020 corrections in eV per atom: -7.118

# Mn4ZnS8

An optimized crystal structure of Mn4ZnS8 (PBE-GGA, the Materials Project).

Lattice parameters (Å, degrees): 7.2421 7.2421 7.2421 55.30 55.30 55.30
Element x y z (fractional)
Mn 0.0000 0.5000 0.5000
Mn 0.5000 0.0000 0.5000
Mn 0.5000 0.5000 0.0000
Mn 0.0000 0.0000 0.0000
Zn 0.5000 0.5000 0.5000
S 0.2693 0.7554 0.7554
S 0.2446 0.2446 0.7307
S 0.7307 0.2446 0.2446
S 0.2446 0.7307 0.2446
S 0.2616 0.2616 0.2616
S 0.7384 0.7384 0.7384
S 0.7554 0.2693 0.7554
S 0.7554 0.7554 0.2693

Values from the calculation:
Crystal system: trigonal
Energy of formation from the pure elements in meV/atom: -861.4
Relative energy among the computed polymorphs in meV/atom: 0
Total energy after the MP2020 corrections in eV per atom: -6.323

# RhSe

An optimized crystal structure of RhSe (PBE-GGA, the Materials Project).

Lattice parameters (Å, degrees): 3.7692 3.7692 5.6699 90.00 90.00 120.00
Element x y z (fractional)
Rh 0.0000 0.0000 0.5000
Rh 0.0000 0.0000 0.0000
Se 0.6667 0.3333 0.7500
Se 0.3333 0.6667 0.2500

Values from the calculation:
Crystal system: hexagonal
Energy of formation from the pure elements in meV/atom: -461.5
Total energy after the MP2020 corrections in eV per atom: -5.892

# U3Si2C3

An optimized crystal structure of U3Si2C3 (PBE-GGA, the Materials Project).

Lattice parameters (Å, degrees): 9.8374 9.8374 9.8374 158.43 158.43 30.69
Element x y z (fractional)
U 0.6837 0.6837 0.0000
U 0.3163 0.3163 0.0000
U 0.5000 0.5000 0.0000
Si 0.0964 0.0964 0.0000
Si 0.9036 0.9036 0.0000
C 0.2500 0.7500 0.5000
C 0.7500 0.2500 0.5000
C 0.0000 0.0000 0.0000

Values from the calculation:
Crystal system: tetragonal
Energy of formation from the pure elements in meV/atom: -10.8

# Cs2RbYCl6

An optimized crystal structure of Cs2RbYCl6 (PBE-GGA, the Materials Project).

Lattice parameters (Å, degrees): 8.1842 8.1842 8.1842 60.00 60.00 60.00
Element x y z (fractional)
Cs 0.7500 0.7500 0.7500
Cs 0.2500 0.2500 0.2500
Rb 0.5000 0.5000 0.5000
Y 0.0000 0.0000 0.0000
Cl 0.7715 0.2285 0.2285
Cl 0.2285 0.2285 0.7715
Cl 0.2285 0.7715 0.7715
Cl 0.2285 0.7715 0.2285
Cl 0.7715 0.2285 0.7715
Cl 0.7715 0.7715 0.2285

Values from the calculation:
Crystal system: cubic
Energy of formation from the pure elements in meV/atom: -2502.3
Total energy after the MP2020 corrections in eV per atom: -4.535

# CaF2

An optimized crystal structure of CaF2 (PBE-GGA, the Materials Project).

Lattice parameters (Å, degrees): 3.7496 3.7496 3.0229 90.00 90.00 90.00
Element x y z (fractional)
Ca 0.0000 0.0000 0.5000
F 0.0000 0.5000 0.0000
F 0.5000 0.0000 0.0000

Values from the calculation:
Crystal system: tetragonal
Energy of formation from the pure elements in meV/atom: -3982.0
Relative energy among the computed polymorphs in meV/atom: 240
Total energy after the MP2020 corrections in eV per atom: -5.927

# Na3YCl6

An optimized crystal structure of Na3YCl6 (PBE-GGA, the Materials Project).

Lattice parameters (Å, degrees): 7.5219 7.5219 7.5219 60.00 60.00 60.00
Element x y z (fractional)
Na 0.7500 0.7500 0.7500
Na 0.2500 0.2500 0.2500
Na 0.5000 0.5000 0.5000
Y 0.0000 0.0000 0.0000
Cl 0.7536 0.2464 0.2464
Cl 0.2464 0.2464 0.7536
Cl 0.2464 0.7536 0.7536
Cl 0.2464 0.7536 0.2464
Cl 0.7536 0.2464 0.7536
Cl 0.7536 0.7536 0.2464

Values from the calculation:
Crystal system: cubic
Energy of formation from the pure elements in meV/atom: -2226.0
Relative energy among the computed polymorphs in meV/atom: 140
Total energy after the MP2020 corrections in eV per atom: -4.379

# CsTlCuF6

An optimized crystal structure of CsTlCuF6 (PBE-GGA, the Materials Project).

Lattice parameters (Å, degrees): 7.7983 7.7983 7.7983 121.84 117.81 90.34
Element x y z (fractional)
Cs 0.3613 0.6113 0.7500
Cs 0.6387 0.3887 0.2500
Tl 0.0000 0.0000 0.0000
Tl 0.5000 0.0000 0.5000
Cu 0.0000 0.0000 0.5000
Cu 0.0000 0.5000 0.0000
F 0.3460 0.0960 0.2500
F 0.9540 0.7040 0.2500
F 0.3120 0.6616 0.2182
F 0.9433 0.0937 0.2818
F 0.3120 0.0937 0.6504
F 0.9433 0.6616 0.8496
F 0.6540 0.9040 0.7500
F 0.0460 0.2960 0.7500
F 0.6880 0.3384 0.7818
F 0.0567 0.9063 0.7182
F 0.6880 0.9063 0.3496
F 0.0567 0.3384 0.1504

Values from the calculation:
Crystal system: orthorhombic
Energy of formation from the pure elements in meV/atom: -2262.8
Total energy after the MP2020 corrections in eV per atom: -4.357

# NaMgO3

An optimized crystal structure of NaMgO3 (PBE-GGA, the Materials Project).

Lattice parameters (Å, degrees): 4.0177 4.0177 4.0177 90.00 90.00 90.00
Element x y z (fractional)
Na 0.0000 0.0000 0.0000
Mg 0.5000 0.5000 0.5000
O 0.5000 0.5000 0.0000
O 0.5000 0.0000 0.5000
O 0.0000 0.5000 0.5000

Values from the calculation:
Crystal system: cubic
Energy of formation from the pure elements in meV/atom: -1396.3
Total energy after the MP2020 corrections in eV per atom: -4.950

# Np2Se5

An optimized crystal structure of Np2Se5 (PBE-GGA, the Materials Project).

Lattice parameters (Å, degrees): 5.4685 5.4685 10.7290 90.00 90.00 90.12
Element x y z (fractional)
Np 0.2500 0.2500 0.8485
Np 0.7500 0.7500 0.6515
Np 0.7500 0.7500 0.1515
Np 0.2500 0.2500 0.3485
Se 0.7500 0.0064 0.3975
Se 0.9936 0.2500 0.1025
Se 0.5064 0.2500 0.1025
Se 0.7500 0.4936 0.3975
Se 0.2500 0.9936 0.6025
Se 0.0064 0.7500 0.8975
Se 0.4936 0.7500 0.8975
Se 0.2500 0.5064 0.6025
Se 0.2500 0.7500 0.2500
Se 0.7500 0.2500 0.7500

Values from the calculation:
Crystal system: orthorhombic
Energy of formation from the pure elements in meV/atom: -1311.0
Relative energy among the computed polymorphs in meV/atom: 0
Total energy after the MP2020 corrections in eV per atom: -7.507

# MgSn2O4

An optimized crystal structure of MgSn2O4 (PBE-GGA, the Materials Project).

Lattice parameters (Å, degrees): 6.3489 6.3489 23.5868 81.99 81.99 60.25
Element x y z (fractional)
Mg 0.6458 0.6458 0.0442
Mg 0.1258 0.1258 0.1250
Mg 0.8914 0.8914 0.2942
Mg 0.3718 0.3718 0.3793
Mg 0.6251 0.6251 0.6259
Mg 0.4984 0.4984 0.5019
Mg 0.8822 0.8822 0.8698
Mg 0.7520 0.7520 0.7491
Sn 0.6251 0.1251 0.1248
Sn 0.2475 0.2475 0.2570
Sn 0.1251 0.6251 0.1248
Sn 0.1496 0.1496 0.5314
Sn 0.8649 0.3725 0.3772
Sn 0.6029 0.6029 0.2158
Sn 0.4041 0.4041 0.7823
Sn 0.3725 0.8649 0.3772
Sn 0.1248 0.6247 0.6258
Sn 0.8461 0.8461 0.4717
Sn 0.6247 0.1248 0.6258
Sn 0.8782 0.3867 0.8726
Sn 0.3867 0.8782 0.8726
Sn 0.0996 0.0996 0.7203
Sn 0.0027 0.0027 0.0034
Sn 0.3600 0.3600 0.9623
O 0.2861 0.8129 0.0715
O 0.9354 0.9354 0.1740
O 0.8129 0.2861 0.0715
O 0.8180 0.8180 0.0705
O 0.4383 0.4383 0.1734
O 0.5405 0.0500 0.3229
O 0.4442 0.9502 0.1704
O 0.1895 0.1895 0.4151
O 0.0500 0.5405 0.3229
O 0.3082 0.3082 0.0837
O 0.0541 0.0541 0.3254
O 0.9502 0.4442 0.1704
O 0.7729 0.3179 0.5692
O 0.6705 0.6705 0.4309
O 0.6761 0.2260 0.4347
O 0.4437 0.4437 0.6677
O 0.3179 0.7729 0.5692
O 0.5489 0.5489 0.3353
O 0.3239 0.3239 0.5721
O 0.2260 0.6761 0.4347
O 0.9249 0.9249 0.6783
O 0.0181 0.5836 0.8169
O 0.9318 0.4779 0.6816
O 0.6855 0.6855 0.9266
O 0.5836 0.0181 0.8169
O 0.8063 0.8063 0.5829
O 0.5866 0.5866 0.8174
O 0.4779 0.9318 0.6816
O 0.1991 0.1991 0.9182
O 0.1978 0.7050 0.9153
O 0.0693 0.0693 0.8297
O 0.7050 0.1978 0.9153

Values from the calculation:
Crystal system: monoclinic
Energy of formation from the pure elements in meV/atom: -2121.5
Relative energy among the computed polymorphs in meV/atom: 23
Total energy after the MP2020 corrections in eV per atom: -6.323

# MgI2O6

An optimized crystal structure of MgI2O6 (PBE-GGA, the Materials Project).

Lattice parameters (Å, degrees): 5.0238 5.6488 5.6493 120.01 90.00 90.00
Element x y z (fractional)
Mg 0.5723 0.0000 0.0000
I 0.5244 0.3334 0.6667
I 0.9810 0.6667 0.3333
O 0.3486 0.2493 0.3490
O 0.3486 0.6509 0.9003
O 0.3485 0.0996 0.7506
O 0.8079 0.7382 0.6469
O 0.8079 0.3531 0.0913
O 0.8079 0.9087 0.2619

Values from the calculation:
Crystal system: trigonal
Energy of formation from the pure elements in meV/atom: -1375.5
Total energy after the MP2020 corrections in eV per atom: -5.191

# Na2Ti2O5

An optimized crystal structure of Na2Ti2O5 (PBE-GGA, the Materials Project).

Lattice parameters (Å, degrees): 5.5147 6.7200 16.6158 90.00 90.00 90.00
Element x y z (fractional)
Na 0.7848 0.0990 0.9437
Na 0.2152 0.0990 0.4437
Na 0.2848 0.4010 0.9437
Na 0.7152 0.4010 0.4437
Na 0.2848 0.5990 0.5563
Na 0.7152 0.5990 0.0563
Na 0.7848 0.9010 0.5563
Na 0.2152 0.9010 0.0563
Ti 0.2979 0.1037 0.6502
Ti 0.7021 0.1037 0.1502
Ti 0.7979 0.3963 0.6502
Ti 0.2021 0.3963 0.1502
Ti 0.2021 0.6037 0.3498
Ti 0.7979 0.6037 0.8498
Ti 0.2979 0.8963 0.8498
Ti 0.7021 0.8963 0.3498
O 0.2266 0.0000 0.7500
O 0.7734 0.0000 0.2500
O 0.2161 0.0607 0.9276
O 0.7839 0.0607 0.4276
O 0.6282 0.1576 0.6367
O 0.3718 0.1576 0.1367
O 0.1282 0.3424 0.6367
O 0.8718 0.3424 0.1367
O 0.7161 0.4393 0.9276
O 0.2839 0.4393 0.4276
O 0.7266 0.5000 0.7500
O 0.2734 0.5000 0.2500
O 0.7161 0.5607 0.5724
O 0.2839 0.5607 0.0724
O 0.1282 0.6576 0.8633
O 0.8718 0.6576 0.3633
O 0.6282 0.8424 0.8633
O 0.3718 0.8424 0.3633
O 0.2161 0.9393 0.5724
O 0.7839 0.9393 0.0724

Values from the calculation:
Crystal system: orthorhombic
Energy of formation from the pure elements in meV/atom: -3024.2
Total energy after the MP2020 corrections in eV per atom: -7.821

# Sm2GaNi2

An optimized crystal structure of Sm2GaNi2 (PBE-GGA, the Materials Project).

Lattice parameters (Å, degrees): 4.2792 5.3855 5.4506 119.61 113.11 90.00
Element x y z (fractional)
Sm 0.7992 0.2992 0.5984
Sm 0.2008 0.7008 0.4016
Ga 0.0000 0.0000 0.0000
Ni 0.5000 0.2638 0.0000
Ni 0.5000 0.7362 0.0000

Values from the calculation:
Crystal system: orthorhombic
Energy of formation from the pure elements in meV/atom: -508.9

# Sc2Ni2Sn

An optimized crystal structure of Sc2Ni2Sn (PBE-GGA, the Materials Project).

Lattice parameters (Å, degrees): 7.1466 7.1466 3.3536 90.00 90.00 90.00
Element x y z (fractional)
Sc 0.6692 0.1692 0.5000
Sc 0.1692 0.3308 0.5000
Sc 0.8308 0.6692 0.5000
Sc 0.3308 0.8308 0.5000
Ni 0.8765 0.3765 0.0000
Ni 0.3765 0.1235 0.0000
Ni 0.6235 0.8765 0.0000
Ni 0.1235 0.6235 0.0000
Sn 0.0000 0.0000 0.0000
Sn 0.5000 0.5000 0.0000

Values from the calculation:
Crystal system: tetragonal
Energy of formation from the pure elements in meV/atom: -612.2

# Pr5Mg

An optimized crystal structure of Pr5Mg (PBE-GGA, the Materials Project).

Lattice parameters (Å, degrees): 9.4410 9.4410 5.9269 90.00 90.00 157.07
Element x y z (fractional)
Pr 0.0078 0.9922 0.0000
Pr 0.6769 0.3231 0.0000
Pr 0.3362 0.6638 0.0000
Pr 0.5537 0.4463 0.5000
Pr 0.8755 0.1245 0.5000
Mg 0.2165 0.7835 0.5000

Values from the calculation:
Crystal system: orthorhombic
Energy of formation from the pure elements in meV/atom: 34.8
Relative energy among the computed polymorphs in meV/atom: 32

# SmTmMg2

An optimized crystal structure of SmTmMg2 (PBE-GGA, the Materials Project).

Lattice parameters (Å, degrees): 5.3721 5.3721 5.3721 60.00 60.00 60.00
Element x y z (fractional)
Sm 0.5000 0.5000 0.5000
Tm 0.0000 0.0000 0.0000
Mg 0.2500 0.2500 0.2500
Mg 0.7500 0.7500 0.7500

Values from the calculation:
Crystal system: cubic
Energy of formation from the pure elements in meV/atom: -80.3

# LaCeAl2O6

An optimized crystal structure of LaCeAl2O6 (PBE-GGA, the Materials Project).

Lattice parameters (Å, degrees): 3.7953 3.7953 7.6062 90.00 90.00 90.00
Element x y z (fractional)
La 0.5000 0.5000 0.5000
Ce 0.5000 0.5000 0.0000
Al 0.0000 0.0000 0.7511
Al 0.0000 0.0000 0.2489
O 0.0000 0.0000 0.0000
O 0.0000 0.0000 0.5000
O 0.0000 0.5000 0.7510
O 0.0000 0.5000 0.2490
O 0.5000 0.0000 0.7510
O 0.5000 0.0000 0.2490

Values from the calculation:
Crystal system: tetragonal
Energy of formation from the pure elements in meV/atom: -3659.2
Relative energy among the computed polymorphs in meV/atom: 7
Total energy after the MP2020 corrections in eV per atom: -8.464

# LiZn2Ni

An optimized crystal structure of LiZn2Ni (PBE-GGA, the Materials Project).

Lattice parameters (Å, degrees): 4.1549 4.1549 4.1549 60.00 60.00 60.00
Element x y z (fractional)
Li 0.5000 0.5000 0.5000
Zn 0.7500 0.7500 0.7500
Zn 0.2500 0.2500 0.2500
Ni 0.0000 0.0000 0.0000

Values from the calculation:
Crystal system: cubic
Energy of formation from the pure elements in meV/atom: -255.9